# Ho3Al12Ru4 | the Materials Project database | GGA-PBE | relaxed
data_Ho3Al12Ru4
_cell_length_a 8.8122
_cell_length_b 8.8122
_cell_length_c 9.5808
_cell_angle_alpha 90.00
_cell_angle_beta 90.00
_cell_angle_gamma 120.00
_space_group_name_H-M_alt 'P 63/m m c'
_space_group_IT_number 194
_space_group_name_Hall '-P 6c 2c'
loop_
_atom_site_label
_atom_site_type_symbol
_atom_site_fract_x
_atom_site_fract_y
_atom_site_fract_z
_atom_site_occupancy
Ho1 Ho 0.1937 0.3874 0.2500 1
Al1 Al 0.0000 0.0000 0.2500 1
Al2 Al 0.1217 0.5608 0.7500 1
Al3 Al 0.1619 0.3239 0.5775 1
Al4 Al 0.3333 0.6667 0.0150 1
Ru1 Ru 0.0000 0.0000 0.0000 1
Ru2 Ru 0.0000 0.5000 0.0000 1
# ΔH_f (0 K): -0.664 eV/atom
# DFT total energy: -5.705 eV per atom
# calculated volume: 644.32 Å³ per cell